## Na6Y6Nb2Si5S7O48 (PBE)

Data for Na6Y6Nb2Si5S7O48 after structural relaxation.

Results
* energy relative to the elements: -2.75 eV/atom
* magnetization: 0.00 μB/atom

a b c (Å): 18.3721 9.2237 23.9303
angles (deg): 90.06 90.08 120.13
Last column: nearest neighbours and their distance in Å.
Fractional coordinates of all 222 atoms:
Na 0.9927 0.6820 0.9112  6 O 2.51-2.78
Na 0.3481 0.0275 0.9144  4 O 2.44-2.63
Na 0.1734 0.3062 0.9130  3 O 2.35-2.52
Na 0.4924 0.3056 0.4217  6 O 2.55-2.80
Na 0.6722 0.0379 0.4164  3 O 2.35-2.52
Na 0.8457 0.6685 0.4177  4 O 2.45-2.67
Na 0.9977 0.9989 0.4949  4 O 2.56-2.86
Na 0.4991 0.0004 0.5015  6 O 2.61-2.86
Na 0.0006 0.0025 0.9975  3 O 2.50-2.76
Na 0.4974 0.9968 0.9915  3 O 2.48-2.71
Na 0.3389 0.3465 0.8400  2 O 2.41-2.55
Na 0.8261 0.3232 0.8192  3 O 2.51-2.56
Na 0.3280 0.3335 0.3237  5 O 2.61-2.85
Na 0.8365 0.3281 0.3455  3 O 2.34-2.56
Na 0.1713 0.6694 0.1700  6 O 2.59-2.81
Na 0.6655 0.6667 0.1676  4 O 2.41-2.65
Na 0.1687 0.6664 0.6669  5 O 2.48-2.76
Na 0.6585 0.6542 0.6613  1 O 2.35
Y 0.0033 0.0047 0.3551  6 O 2.11-2.34
Y 0.4975 0.0035 0.3480  5 O 2.10-2.32
Y 0.9972 0.9920 0.8470  4 O 2.08-2.26
Y 0.5028 0.0024 0.8530  6 O 2.09-2.30
Y 0.3367 0.3420 0.6814  3 O 2.06-2.29
Y 0.8331 0.3330 0.6885  6 O 2.12-2.32
Y 0.3342 0.3337 0.1892  6 O 2.10-2.34
Y 0.8314 0.3232 0.1835  4 O 2.04-2.27
Y 0.3452 0.3501 0.9772  4 O 2.10-2.32
Y 0.8275 0.3060 0.9855  4 O 2.08-2.30
Y 0.3348 0.3488 0.4910  3 O 2.08-2.32
Y 0.8430 0.3363 0.4788  4 O 2.11-2.31
Y 0.1707 0.6778 0.0159  3 O 2.05-2.28
Y 0.6670 0.6671 0.0197  6 O 2.10-2.35
Y 0.1669 0.6664 0.5213  6 O 2.12-2.32
Y 0.6667 0.6571 0.5177  4 O 2.10-2.31
Y 0.6684 0.6560 0.3145  4 O 2.10-2.32
Y 0.1700 0.6827 0.8125  4 O 2.12-2.35
Nb 0.9926 0.9856 0.6559  2 O 1.83-1.87
Nb 0.5010 0.0203 0.6431  3 O 1.84-1.95
Nb 0.0020 0.9977 0.1486  5 O 1.91-2.11
Nb 0.4916 0.9973 0.1558  2 O 1.83-1.85
Nb 0.1654 0.6792 0.3115  4 O 1.88-2.08
Nb 0.6609 0.6470 0.8069  4 O 1.87-2.07
Si 0.1434 0.9958 0.2504  4 O 1.58-1.72
Si 0.3477 0.7021 0.2536  4 O 1.58-1.77
Si 0.5044 0.3068 0.2512  4 O 1.60-1.78
Si 0.6427 0.2845 0.7497  4 O 1.58-1.74
Si 0.0034 0.7009 0.7514  4 O 1.60-1.77
Si 0.8480 0.9930 0.7535  4 O 1.59-1.76
Si 0.4843 0.3420 0.5825  4 O 1.60-1.75
Si 0.3345 0.6383 0.5877  4 O 1.61-1.71
Si 0.8349 0.0306 0.0866  4 O 1.61-1.72
Si 0.3135 0.6674 0.9156  4 O 1.62-1.64
Si 0.5243 0.3768 0.9156  4 O 1.60-1.73
Si 0.1640 0.9647 0.9190  4 O 1.63-1.66
Si 0.8121 0.9576 0.4161  4 O 1.63-1.64
Si 0.6650 0.3633 0.4176  4 O 1.62-1.66
Si 0.0229 0.6693 0.4165  4 O 1.59-1.75
S 0.6438 0.9988 0.2473  4 O 1.46-1.53
S 0.8574 0.7144 0.2466  4 O 1.46-1.54
S 0.0035 0.2945 0.2489  4 O 1.45-1.51
S 0.1445 0.2887 0.7477  4 O 1.46-1.53
S 0.5023 0.7083 0.7509  4 O 1.46-1.55
S 0.3570 0.0008 0.7467  4 O 1.47-1.50
S 0.9823 0.3214 0.5866  4 O 1.46-1.51
S 0.1779 0.0358 0.5862  4 O 1.47-1.51
S 0.6811 0.0372 0.5844  4 O 1.46-1.52
S 0.8396 0.6422 0.5853  4 O 1.46-1.54
S 0.4826 0.6433 0.0866  4 O 1.46-1.51
S 0.9813 0.6368 0.0852  4 O 1.47-1.53
S 0.3381 0.0350 0.0856  4 O 1.46-1.53
S 0.1801 0.3259 0.0853  4 O 1.46-1.55
S 0.6796 0.3223 0.0858  4 O 1.47-1.50
S 0.8104 0.6619 0.9146  4 O 1.47-1.49
S 0.0180 0.3742 0.9174  4 O 1.47-1.50
S 0.6688 0.9526 0.9136  4 O 1.47-1.51
S 0.3088 0.9571 0.4137  4 O 1.46-1.53
S 0.1709 0.3878 0.4132  4 O 1.47-1.51
S 0.5173 0.6625 0.4162  4 O 1.48-1.49
O 0.1001 0.0197 0.3037  1 Si 1.58
O 0.6078 0.0165 0.3000  1 S 1.47
O 0.4063 0.7879 0.3060  1 Si 1.58
O 0.9039 0.7884 0.2984  1 S 1.46
O 0.4946 0.2024 0.3076  1 Si 1.61
O 0.9891 0.1958 0.2992  1 S 1.45
O 0.1073 0.1994 0.8007  1 S 1.48
O 0.6027 0.1836 0.8055  1 Si 1.58
O 0.4919 0.7827 0.8018  1 S 1.46
O 0.9941 0.7836 0.8089  1 Si 1.62
O 0.4028 0.0169 0.7992  1 S 1.48
O 0.9059 0.0249 0.8067  1 Si 1.59
O 0.4048 0.9888 0.6977  1 S 1.50
O 0.9030 0.9717 0.6970  1 Si 1.76, 1 Nb 1.87
O 0.0874 0.1881 0.6990  1 S 1.53
O 0.5814 0.1882 0.6948  1 Si 1.67
O 0.0066 0.8346 0.6972  1 Si 1.77, 1 Nb 1.83
O 0.5154 0.8107 0.7009  1 S 1.47
O 0.4027 0.8334 0.1965  1 Si 1.77, 1 Nb 1.85
O 0.9063 0.8260 0.1969  1 S 1.54
O 0.0139 0.2067 0.1987  1 S 1.51
O 0.5067 0.1784 0.1963  1 Si 1.78, 1 Nb 1.83
O 0.0807 0.9715 0.1944  1 Si 1.71
O 0.5877 0.9865 0.1982  1 S 1.53
O 0.4327 0.3449 0.6360  1 Si 1.60
O 0.9407 0.3465 0.6347  1 S 1.46
O 0.2311 0.1162 0.6354  1 S 1.47
O 0.7348 0.1231 0.6326  1 S 1.46
O 0.3190 0.5184 0.6404  1 Si 1.61
O 0.8303 0.5353 0.6328  1 S 1.46
O 0.4409 0.5351 0.1347  1 S 1.46
O 0.9364 0.5335 0.1338  1 S 1.47
O 0.3288 0.1230 0.1331  1 S 1.46
O 0.8252 0.1284 0.1394  1 Si 1.61
O 0.2339 0.3491 0.1333  1 S 1.46
O 0.7339 0.3487 0.1349  1 S 1.48
O 0.2126 0.2958 0.0329  1 S 1.47
O 0.7196 0.3005 0.0350  1 S 1.49
O 0.4323 0.5715 0.0352  1 S 1.48
O 0.9327 0.5660 0.0328  1 S 1.48
O 0.3507 0.1266 0.0326  1 S 1.48
O 0.8551 0.1467 0.0306  1 Si 1.64
O 0.2163 0.1368 0.5349  1 S 1.49
O 0.7156 0.1348 0.5323  1 S 1.48
O 0.3548 0.5661 0.5308  1 Si 1.64
O 0.8530 0.5756 0.5324  1 S 1.48
O 0.4314 0.3017 0.5236  1 Si 1.64
O 0.9323 0.2931 0.5351  1 S 1.48
O 0.2701 0.6953 0.9714  1 Si 1.64
O 0.7722 0.6824 0.9660  1 S 1.47
O 0.0692 0.4514 0.9683  1 S 1.48
O 0.5773 0.4675 0.9709  1 Si 1.60
O 0.1414 0.8380 0.9721  1 Si 1.64
O 0.6626 0.8625 0.9660  1 S 1.48
O 0.2700 0.8601 0.4642  1 S 1.46
O 0.7692 0.8426 0.4710  1 Si 1.63
O 0.1631 0.4660 0.4649  1 S 1.47
O 0.6425 0.4463 0.4697  1 Si 1.62
O 0.0780 0.6869 0.4703  1 Si 1.59
O 0.5686 0.6877 0.4667  1 S 1.48
O 0.0796 0.6556 0.3601  1 Si 1.75, 1 Nb 1.88
O 0.5572 0.6397 0.3658  1 S 1.48
O 0.2574 0.8631 0.3623  1 S 1.53
O 0.7535 0.8761 0.3601  1 Si 1.64
O 0.1777 0.4913 0.3628  1 S 1.51
O 0.6812 0.4786 0.3618  1 Si 1.64
O 0.0571 0.4761 0.8673  1 S 1.47
O 0.5801 0.5038 0.8603  1 Si 1.73, 1 Nb 1.90
O 0.1790 0.8777 0.8641  1 Si 1.63
O 0.6778 0.8682 0.8640  1 S 1.48
O 0.2524 0.6293 0.8612  1 Si 1.64
O 0.7592 0.6470 0.8642  1 S 1.49
O 0.0082 0.8278 0.4107  1 Si 1.62
O 0.5096 0.8143 0.4112  1 S 1.48
O 0.3944 0.9787 0.4093  1 S 1.49
O 0.9042 0.9716 0.4114  1 Si 1.64
O 0.0939 0.2211 0.4092  1 S 1.48
O 0.5833 0.1700 0.4142  1 Si 1.66
O 0.0088 0.2059 0.9128  1 S 1.48
O 0.5084 0.1880 0.9110  1 Si 1.62
O 0.0826 0.9953 0.9154  1 Si 1.66
O 0.5932 0.9695 0.9107  1 S 1.47
O 0.4045 0.8376 0.9122  1 Si 1.62
O 0.8966 0.8118 0.9112  1 S 1.49
O 0.4921 0.1634 0.5938  1 Si 1.75, 1 Nb 1.84
O 0.9915 0.1696 0.5953  1 S 1.51
O 0.0930 0.0212 0.5939  1 S 1.51
O 0.5952 0.0200 0.5932  1 S 1.52
O 0.4226 0.8255 0.6024  1 Si 1.71, 1 Nb 1.91
O 0.9183 0.8151 0.5940  1 S 1.54
O 0.4919 0.8137 0.0955  1 S 1.51
O 0.9894 0.8092 0.0927  1 S 1.53
O 0.4160 0.0176 0.0939  1 S 1.53
O 0.9227 0.0168 0.1017  1 Si 1.72, 1 Nb 1.91
O 0.0932 0.1683 0.0953  1 S 1.55
O 0.5956 0.1671 0.0933  1 S 1.50
O 0.3463 0.1478 0.7419  1 S 1.47
O 0.8335 0.1456 0.7405  1 Si 1.59
O 0.2266 0.2997 0.7420  1 S 1.47
O 0.7375 0.3287 0.7404  1 Si 1.59
O 0.4304 0.5363 0.7461  1 S 1.47
O 0.9191 0.5248 0.7426  1 Si 1.60
O 0.3333 0.5211 0.2402  1 Si 1.59
O 0.8495 0.5488 0.2384  1 S 1.47
O 0.4199 0.3135 0.2423  1 Si 1.60
O 0.9319 0.3225 0.2405  1 S 1.47
O 0.2365 0.1434 0.2390  1 Si 1.59
O 0.7266 0.1535 0.2410  1 S 1.48
O 0.3180 0.4952 0.9228  1 Si 1.64
O 0.8212 0.5124 0.9190  1 S 1.49
O 0.4308 0.3575 0.9140  1 Si 1.64
O 0.9349 0.3662 0.9238  1 S 1.50
O 0.2500 0.1467 0.9267  1 Si 1.64
O 0.7453 0.1253 0.9175  1 S 1.51
O 0.3163 0.1241 0.4146  1 S 1.48
O 0.8178 0.1404 0.4225  1 Si 1.64
O 0.2464 0.3688 0.4159  1 S 1.48
O 0.7508 0.3525 0.4252  1 Si 1.64
O 0.4336 0.5064 0.4211  1 S 1.49
O 0.9300 0.5022 0.4146  1 Si 1.63
O 0.1647 0.4687 0.0812  1 S 1.48
O 0.6694 0.4701 0.0804  1 S 1.47
O 0.0659 0.6571 0.0828  1 S 1.47
O 0.5675 0.6639 0.0806  1 S 1.48
O 0.2635 0.8633 0.0834  1 S 1.49
O 0.7568 0.8427 0.0812  1 Si 1.61
O 0.1669 0.8666 0.5801  1 S 1.48
O 0.6689 0.8671 0.5800  1 S 1.47
O 0.2572 0.6742 0.5807  1 Si 1.62
O 0.7665 0.6673 0.5825  1 S 1.47
O 0.0671 0.4706 0.5807  1 S 1.48
O 0.5790 0.4991 0.5835  1 Si 1.61
O 0.1488 0.8161 0.2589  1 Si 1.72, 1 Nb 1.91
O 0.6509 0.8483 0.2462  1 S 1.46
O 0.2558 0.6958 0.2600  1 Si 1.67
O 0.7750 0.7040 0.2458  1 S 1.47
O 0.0828 0.4630 0.2536  1 S 1.51
O 0.5906 0.4825 0.2445  1 Si 1.61
O 0.1500 0.4526 0.7470  1 S 1.46
O 0.6477 0.4766 0.7584  1 Si 1.74, 1 Nb 1.87
O 0.0900 0.6981 0.7453  1 Si 1.61
O 0.5825 0.6948 0.7575  1 S 1.55
O 0.2745 0.8443 0.7467  1 S 1.48
O 0.7563 0.8154 0.7618  1 Si 1.67